1.
Density functional theory data (PBE+U) for crystalline Li2TiFe3O8 at its relaxed geometry.

Structure (CIF):
```
data_Li2TiFe3O8
_cell_length_a 5.9800
_cell_length_b 5.9867
_cell_length_c 10.3311
_cell_angle_alpha 73.52
_cell_angle_beta 73.83
_cell_angle_gamma 60.32
_space_group_name_H-M_alt 'P 1'
_space_group_IT_number 1
_space_group_name_Hall 'P 1'
loop_
_atom_site_label
_atom_site_type_symbol
_atom_site_fract_x
_atom_site_fract_y
_atom_site_fract_z
Li1 Li 0.0599 0.0639 0.3112
Li2 Li 0.4308 0.4531 0.1885
Li3 Li 0.5692 0.5469 0.8115
Li4 Li 0.9401 0.9361 0.6888
Ti1 Ti 0.2717 0.2218 0.7501
Ti2 Ti 0.7283 0.7782 0.2499
Fe1 Fe 0.0000 0.0000 0.0000
Fe2 Fe 0.0000 0.5000 0.0000
Fe3 Fe 0.0000 0.5000 0.5000
Fe4 Fe 0.5000 0.0000 0.0000
Fe5 Fe 0.5000 0.0000 0.5000
Fe6 Fe 0.5000 0.5000 0.5000
O1 O 0.0898 0.6659 0.1164
O2 O 0.1285 0.1247 0.1035
O3 O 0.1331 0.5872 0.6186
O4 O 0.1482 0.1330 0.6244
O5 O 0.3497 0.3592 0.8749
O6 O 0.3541 0.3751 0.3965
O7 O 0.3694 0.8982 0.8744
O8 O 0.4062 0.8557 0.3759
O9 O 0.5938 0.1443 0.6241
O10 O 0.6306 0.1018 0.1256
O11 O 0.6459 0.6249 0.6035
O12 O 0.6503 0.6408 0.1251
O13 O 0.8518 0.8670 0.3756
O14 O 0.8669 0.4128 0.3814
O15 O 0.8715 0.8753 0.8965
O16 O 0.9102 0.3341 0.8836
```

Values from the calculation:
- formation energy (kJ/mol of atoms) = -207.64

=====

2.
Density functional theory data (PBE+U) for crystalline Li5Ti2Fe3O10 at its relaxed geometry.

Structure (CIF):
```
data_Li5Ti2Fe3O10
_cell_length_a 5.1943
_cell_length_b 5.2159
_cell_length_c 7.9168
_cell_angle_alpha 70.95
_cell_angle_beta 71.30
_cell_angle_gamma 80.23
_space_group_name_H-M_alt 'P 1'
_space_group_IT_number 1
_space_group_name_Hall 'P 1'
loop_
_atom_site_label
_atom_site_type_symbol
_atom_site_fract_x
_atom_site_fract_y
_atom_site_fract_z
Li1 Li 0.0000 0.0000 0.0000
Li2 Li 0.0031 0.3710 0.1975
Li3 Li 0.0139 0.8119 0.3863
Li4 Li 0.0211 0.1978 0.5839
Li5 Li 0.5107 0.1017 0.2869
Ti1 Ti 0.4877 0.7065 0.1008
Ti2 Ti 0.5283 0.4987 0.4808
Fe1 Fe 0.0075 0.5907 0.7956
Fe2 Fe 0.5094 0.2944 0.8977
Fe3 Fe 0.5130 0.9038 0.6856
O1 O 0.2682 0.0196 0.1417
O2 O 0.2768 0.8181 0.5526
O3 O 0.2812 0.6597 0.9423
O4 O 0.2822 0.2486 0.7209
O5 O 0.2907 0.4651 0.3341
O6 O 0.7300 0.7287 0.2487
O7 O 0.7367 0.9336 0.8520
O8 O 0.7423 0.1641 0.4562
O9 O 0.7455 0.5656 0.6262
O10 O 0.7501 0.3731 0.0389
```

Values from the calculation:
- formation energy (kJ/mol of atoms) = -236.79

=====

Question: Which formula does entry 2 have?
Answer: Li5Ti2Fe3O10